--- one ---
Here is a relaxed structure of Li2Mg11W12O48 from Materials Project. Energies are from GGA+U.

Output
Space group: Pm, No. 6

a = 5.275 Å, b = 10.768 Å, c = 17.772 Å
α = 90.00°, β = 90.35°, γ = 90.00°
Sites, in units of the cell vectors:
1 Li 0.000 0.000 0.000
2 Li 0.138 0.500 0.957
3 Mg 0.135 0.173 0.280
4 Mg 0.135 0.827 0.280
5 Mg 0.152 0.323 0.779
6 Mg 0.152 0.677 0.779
7 Mg 0.291 0.500 0.499
8 Mg 0.501 0.000 0.001
9 Mg 0.634 0.172 0.719
10 Mg 0.634 0.828 0.719
11 Mg 0.653 0.324 0.220
12 Mg 0.653 0.676 0.220
13 Mg 0.791 0.500 0.500
14 W 0.113 0.500 0.306
15 W 0.114 0.224 0.591
16 W 0.114 0.776 0.591
17 W 0.174 0.273 0.092
18 W 0.174 0.727 0.092
19 W 0.175 0.000 0.807
20 W 0.611 0.500 0.693
21 W 0.616 0.225 0.408
22 W 0.616 0.775 0.408
23 W 0.674 0.000 0.193
24 W 0.677 0.277 0.907
25 W 0.677 0.723 0.907
26 O 0.040 0.500 0.407
27 O 0.041 0.374 0.543
28 O 0.041 0.626 0.543
29 O 0.259 0.000 0.905
30 O 0.259 0.129 0.045
31 O 0.259 0.871 0.045
32 O 0.310 0.367 0.285
33 O 0.310 0.633 0.285
34 O 0.315 0.263 0.677
35 O 0.315 0.737 0.677
36 O 0.316 0.134 0.536
37 O 0.316 0.866 0.536
38 O 0.329 0.500 0.755
39 O 0.348 0.140 0.370
40 O 0.348 0.860 0.370
41 O 0.443 0.358 0.129
42 O 0.443 0.642 0.129
43 O 0.458 0.000 0.746
44 O 0.466 0.370 0.960
45 O 0.466 0.630 0.960
46 O 0.478 0.134 0.215
47 O 0.478 0.866 0.215
48 O 0.482 0.239 0.822
49 O 0.482 0.761 0.822
50 O 0.540 0.374 0.456
51 O 0.540 0.500 0.593
52 O 0.540 0.626 0.456
53 O 0.743 0.131 0.955
54 O 0.743 0.869 0.955
55 O 0.746 0.000 0.094
56 O 0.810 0.367 0.715
57 O 0.810 0.633 0.715
58 O 0.816 0.135 0.465
59 O 0.816 0.263 0.323
60 O 0.816 0.737 0.323
61 O 0.816 0.865 0.465
62 O 0.829 0.500 0.245
63 O 0.848 0.140 0.630
64 O 0.848 0.860 0.630
65 O 0.954 0.363 0.873
66 O 0.954 0.637 0.873
67 O 0.962 0.000 0.254
68 O 0.972 0.237 0.176
69 O 0.972 0.763 0.176
70 O 0.979 0.136 0.786
71 O 0.979 0.864 0.786
72 O 0.986 0.367 0.031
73 O 0.986 0.633 0.031

---

--- two ---
Here is a relaxed structure of Li2Mg11W12O48 from Materials Project. Energies are from GGA+U.

Output
Space group: Pm, No. 6

a = 10.513 Å, b = 10.792 Å, c = 17.848 Å
α = 90.00°, β = 90.52°, γ = 90.00°
Sites, in units of the cell vectors:
1 Li 0.000 0.000 0.000
2 Li 0.071 0.500 0.958
3 Li 0.327 0.000 0.542
4 Li 0.568 0.500 0.958
5 Mg 0.069 0.173 0.277
6 Mg 0.069 0.827 0.277
7 Mg 0.078 0.323 0.780
8 Mg 0.078 0.677 0.780
9 Mg 0.148 0.500 0.498
10 Mg 0.266 0.000 0.001
11 Mg 0.321 0.174 0.721
12 Mg 0.321 0.826 0.721
13 Mg 0.329 0.323 0.218
14 Mg 0.329 0.677 0.218
15 Mg 0.399 0.500 0.500
16 Mg 0.571 0.171 0.277
17 Mg 0.571 0.829 0.277
18 Mg 0.579 0.323 0.781
19 Mg 0.579 0.677 0.781
20 Mg 0.649 0.500 0.498
21 Mg 0.738 0.000 0.999
22 Mg 0.820 0.172 0.721
23 Mg 0.820 0.828 0.721
24 Mg 0.829 0.324 0.218
25 Mg 0.829 0.676 0.218
26 Mg 0.899 0.500 0.500
27 W 0.059 0.500 0.306
28 W 0.060 0.224 0.591
29 W 0.060 0.776 0.591
30 W 0.088 0.272 0.091
31 W 0.088 0.728 0.091
32 W 0.091 0.000 0.806
33 W 0.309 0.500 0.692
34 W 0.310 0.227 0.406
35 W 0.310 0.773 0.406
36 W 0.338 0.000 0.195
37 W 0.338 0.281 0.906
38 W 0.338 0.719 0.906
39 W 0.557 0.226 0.593
40 W 0.557 0.774 0.593
41 W 0.559 0.500 0.306
42 W 0.587 0.275 0.092
43 W 0.587 0.725 0.092
44 W 0.589 0.000 0.804
45 W 0.809 0.500 0.693
46 W 0.812 0.227 0.406
47 W 0.812 0.773 0.406
48 W 0.839 0.000 0.193
49 W 0.839 0.277 0.907
50 W 0.839 0.723 0.907
51 O 0.023 0.500 0.406
52 O 0.024 0.373 0.542
53 O 0.024 0.627 0.542
54 O 0.132 0.000 0.903
55 O 0.133 0.128 0.044
56 O 0.133 0.872 0.044
57 O 0.158 0.264 0.676
58 O 0.158 0.736 0.676
59 O 0.159 0.367 0.285
60 O 0.159 0.633 0.285
61 O 0.165 0.130 0.540
62 O 0.165 0.870 0.540
63 O 0.168 0.500 0.753
64 O 0.174 0.145 0.371
65 O 0.174 0.855 0.371
66 O 0.222 0.358 0.128
67 O 0.222 0.642 0.128
68 O 0.230 0.371 0.959
69 O 0.230 0.629 0.959
70 O 0.232 0.000 0.743
71 O 0.239 0.135 0.217
72 O 0.239 0.865 0.217
73 O 0.242 0.241 0.820
74 O 0.242 0.759 0.820
75 O 0.273 0.374 0.455
76 O 0.273 0.500 0.592
77 O 0.273 0.626 0.455
78 O 0.369 0.136 0.952
79 O 0.369 0.864 0.952
80 O 0.372 0.000 0.098
81 O 0.402 0.132 0.466
82 O 0.402 0.868 0.466
83 O 0.408 0.366 0.713
84 O 0.408 0.634 0.713
85 O 0.412 0.263 0.323
86 O 0.412 0.737 0.323
87 O 0.417 0.500 0.245
88 O 0.419 0.139 0.626
89 O 0.419 0.861 0.626
90 O 0.479 0.365 0.872
91 O 0.479 0.635 0.872
92 O 0.484 0.000 0.256
93 O 0.486 0.236 0.177
94 O 0.486 0.764 0.177
95 O 0.491 0.137 0.783
96 O 0.491 0.863 0.783
97 O 0.492 0.366 0.030
98 O 0.492 0.634 0.030
99 O 0.523 0.374 0.543
100 O 0.523 0.500 0.406
101 O 0.523 0.626 0.543
102 O 0.637 0.000 0.899
103 O 0.637 0.135 0.047
104 O 0.637 0.865 0.047
105 O 0.656 0.135 0.538
106 O 0.656 0.865 0.538
107 O 0.658 0.263 0.677
108 O 0.658 0.367 0.285
109 O 0.658 0.633 0.285
110 O 0.658 0.737 0.677
111 O 0.668 0.500 0.753
112 O 0.675 0.143 0.371
113 O 0.675 0.857 0.371
114 O 0.721 0.361 0.129
115 O 0.721 0.639 0.129
116 O 0.731 0.000 0.742
117 O 0.733 0.370 0.958
118 O 0.733 0.630 0.958
119 O 0.741 0.134 0.215
120 O 0.741 0.866 0.215
121 O 0.744 0.239 0.820
122 O 0.744 0.761 0.820
123 O 0.773 0.374 0.455
124 O 0.773 0.500 0.592
125 O 0.773 0.626 0.455
126 O 0.870 0.130 0.954
127 O 0.870 0.870 0.954
128 O 0.873 0.000 0.095
129 O 0.908 0.367 0.714
130 O 0.908 0.633 0.714
131 O 0.911 0.137 0.464
132 O 0.911 0.264 0.322
133 O 0.911 0.736 0.322
134 O 0.911 0.863 0.464
135 O 0.917 0.500 0.245
136 O 0.925 0.143 0.629
137 O 0.925 0.857 0.629
138 O 0.978 0.362 0.872
139 O 0.978 0.638 0.872
140 O 0.983 0.000 0.254
141 O 0.988 0.236 0.176
142 O 0.988 0.764 0.176
143 O 0.992 0.135 0.785
144 O 0.992 0.365 0.031
145 O 0.992 0.635 0.031
146 O 0.992 0.865 0.785

---

Least stable structure: one

---

--- one ---
Here is a relaxed structure of Na3Li5Mn5O9 from Materials Project. Energies are from GGA+U.

Output
Space group: P1, No. 1

a = 6.069 Å, b = 6.075 Å, c = 8.853 Å
α = 96.17°, β = 97.51°, γ = 119.88°
Sites, in units of the cell vectors:
1 Na 0.000 0.000 0.000
2 Na 0.285 0.579 0.003
3 Na 0.594 0.291 0.003
4 Li 0.095 0.424 0.399
5 Li 0.124 0.119 0.527
6 Li 0.454 0.172 0.385
7 Li 0.471 0.813 0.526
8 Li 0.702 0.665 0.386
9 Mn 0.047 0.711 0.224
10 Mn 0.181 0.843 0.717
11 Mn 0.546 0.535 0.723
12 Mn 0.703 0.020 0.225
13 Mn 0.862 0.216 0.715
14 O 0.137 0.803 0.472
15 O 0.215 0.214 0.784
16 O 0.355 0.997 0.160
17 O 0.420 0.451 0.485
18 O 0.552 0.888 0.770
19 O 0.699 0.689 0.159
20 O 0.785 0.093 0.472
21 O 0.898 0.562 0.811
22 O 0.982 0.345 0.165

---

--- two ---
Here is a relaxed structure of Na3Li5Mn5O9 from Materials Project. Energies are from GGA+U.

Output
Space group: P1, No. 1

a = 5.893 Å, b = 5.908 Å, c = 9.048 Å
α = 78.21°, β = 83.12°, γ = 60.13°
Sites, in units of the cell vectors:
1 Na 0.000 0.000 0.000
2 Na 0.315 0.302 0.993
3 Na 0.649 0.653 0.007
4 Li 0.290 0.151 0.601
5 Li 0.309 0.938 0.219
6 Li 0.630 0.265 0.203
7 Li 0.937 0.454 0.748
8 Li 0.985 0.598 0.192
9 Mn 0.293 0.556 0.422
10 Mn 0.336 0.703 0.747
11 Mn 0.666 0.838 0.422
12 Mn 0.693 0.053 0.748
13 Mn 0.940 0.215 0.418
14 O 0.296 0.868 0.502
15 O 0.310 0.611 0.193
16 O 0.346 0.025 0.811
17 O 0.609 0.175 0.506
18 O 0.646 0.930 0.193
19 O 0.661 0.365 0.837
20 O 0.972 0.271 0.189
21 O 0.986 0.483 0.517
22 O 0.999 0.699 0.840

---

Least stable structure: one

---

--- one ---
Here is a relaxed structure of Li4Mn3NbO8 from Materials Project. Energies are from GGA+U.

Output
Space group: R3m, No. 160

a = 6.096 Å, b = 6.096 Å, c = 6.096 Å
α = 61.36°, β = 61.36°, γ = 61.36°
Sites, in units of the cell vectors:
1 Li 0.000 0.000 0.000
2 Li 0.503 0.503 0.991
3 Li 0.503 0.991 0.503
4 Li 0.991 0.503 0.503
5 Mn 0.496 0.996 0.996
6 Mn 0.996 0.496 0.996
7 Mn 0.996 0.996 0.496
8 Nb 0.496 0.496 0.496
9 O 0.234 0.234 0.234
10 O 0.260 0.260 0.723
11 O 0.260 0.723 0.260
12 O 0.270 0.733 0.733
13 O 0.723 0.260 0.260
14 O 0.733 0.270 0.733
15 O 0.733 0.733 0.270
16 O 0.758 0.758 0.758

---

--- two ---
Here is a relaxed structure of Li4Mn3NbO8 from Materials Project. Energies are from GGA+U.

Output
Space group: Cm, No. 8

a = 6.096 Å, b = 6.096 Å, c = 6.096 Å
α = 118.65°, β = 118.65°, γ = 61.35°
Sites, in units of the cell vectors:
1 Li 0.000 0.000 0.000
2 Li 0.012 0.501 0.499
3 Li 0.501 0.012 0.499
4 Li 0.510 0.510 0.001
5 Mn 0.006 0.506 0.005
6 Mn 0.506 0.006 0.005
7 Mn 0.506 0.506 0.505
8 Nb 0.006 0.006 0.505
9 O 0.233 0.770 0.741
10 O 0.242 0.242 0.732
11 O 0.242 0.780 0.269
12 O 0.268 0.268 0.243
13 O 0.744 0.744 0.767
14 O 0.770 0.233 0.741
15 O 0.770 0.770 0.278
16 O 0.780 0.242 0.269

---

--- three ---
Here is a relaxed structure of Li4Mn3NbO8 from Materials Project. Energies are from GGA+U.

Output
Space group: P1, No. 1

a = 6.147 Å, b = 6.265 Å, c = 8.532 Å
α = 89.99°, β = 88.59°, γ = 90.00°
Sites, in units of the cell vectors:
1 Li 0.000 0.000 0.000
2 Li 0.001 0.504 0.000
3 Li 0.243 0.745 0.247
4 Li 0.255 0.263 0.249
5 Li 0.497 0.009 0.500
6 Li 0.502 0.503 0.500
7 Li 0.751 0.743 0.751
8 Li 0.755 0.262 0.751
9 Mn 0.001 0.003 0.501
10 Mn 0.003 0.502 0.500
11 Mn 0.254 0.258 0.752
12 Mn 0.502 0.003 0.000
13 Mn 0.502 0.503 0.001
14 Mn 0.747 0.748 0.250
15 Nb 0.251 0.763 0.750
16 Nb 0.755 0.243 0.250
17 O 0.014 0.521 0.738
18 O 0.016 0.984 0.757
19 O 0.220 0.275 0.503
20 O 0.238 0.755 0.988
21 O 0.265 0.754 0.514
22 O 0.285 0.275 0.999
23 O 0.484 0.985 0.743
24 O 0.489 0.523 0.765
25 O 0.516 0.483 0.236
26 O 0.520 0.022 0.258
27 O 0.720 0.731 0.002
28 O 0.739 0.252 0.487
29 O 0.767 0.251 0.013
30 O 0.786 0.728 0.498
31 O 0.988 0.021 0.244
32 O 0.990 0.485 0.263

---

--- four ---
Here is a relaxed structure of Li4Mn3NbO8 from Materials Project. Energies are from GGA+U.

a = 6.035 Å, b = 6.162 Å, c = 10.606 Å
α = 90.80°, β = 75.37°, γ = 60.83°
Sites, in units of the cell vectors:
1 Li 0.492 0.753 0.253
2 Li 0.492 0.253 0.753
3 Li 0.501 0.998 0.000
4 Li 0.501 0.497 0.500
5 Li 0.993 0.247 0.255
6 Li 0.993 0.748 0.755
7 Li 0.000 0.498 0.001
8 Li 0.999 0.998 0.501
9 Mn 0.996 0.748 0.251
10 Mn 0.502 0.497 0.000
11 Mn 0.499 0.751 0.749
12 Mn 0.995 0.249 0.751
13 Mn 0.502 0.996 0.500
14 Mn 0.499 0.251 0.249
15 Nb 0.003 0.497 0.501
16 Nb 0.002 0.997 0.001
17 O 0.272 0.897 0.615
18 O 0.272 0.397 0.115
19 O 0.725 0.104 0.385
20 O 0.725 0.604 0.885
21 O 0.243 0.638 0.891
22 O 0.243 0.138 0.391
23 O 0.763 0.387 0.614
24 O 0.763 0.887 0.114
25 O 0.772 0.096 0.878
26 O 0.772 0.596 0.378
27 O 0.758 0.359 0.110
28 O 0.758 0.859 0.610
29 O 0.235 0.113 0.887
30 O 0.236 0.612 0.387
31 O 0.225 0.902 0.126
32 O 0.225 0.402 0.626

---

Least stable structure: two